[1]
The following is a PBE calculation of a geometry-optimized Ca5I2O12 structure, from the Materials Project database.

Magnetic moment, μB per atom: 0.000
Energy of formation from the pure elements, eV per atom: -2.36

Geometry as CIF:
```
data_Ca5I2O12
_space_group_name_H-M_alt 'R -3 c'
_space_group_IT_number 167
_space_group_name_Hall '-R 3 2"c'
_cell_length_a 9.7756
_cell_length_b 9.7756
_cell_length_c 54.8981
_cell_angle_alpha 90.00
_cell_angle_beta 90.00
_cell_angle_gamma 120.00
loop_
_atom_site_label
_atom_site_type_symbol
_atom_site_fract_x
_atom_site_fract_y
_atom_site_fract_z
Ca1 Ca 0.0000 0.0000 0.1032
Ca2 Ca 0.0000 0.0000 0.2500
Ca3 Ca 0.0058 0.3253 0.0195
Ca4 Ca 0.0128 0.3143 0.2161
I1 I 0.0000 0.0000 0.0000
I2 I 0.0000 0.0000 0.1608
I3 I 0.0000 0.3269 0.7500
O1 O 0.0031 0.1915 0.7247
O2 O 0.0120 0.4643 0.7748
O3 O 0.0298 0.1756 0.9810
O4 O 0.0532 0.1850 0.1787
O5 O 0.0591 0.1797 0.8599
O6 O 0.0872 0.5290 0.5835
```

=====

[2]
The following is a PBE calculation of a geometry-optimized Cu23PdN8 structure, from the Materials Project database.

Magnetic moment, μB per atom: 0.000
Energy of formation from the pure elements, eV per atom: 0.21

Geometry as CIF:
```
data_Cu23PdN8
_space_group_name_H-M_alt 'I 4/m m m'
_space_group_IT_number 139
_space_group_name_Hall '-I 4 2'
_cell_length_a 10.7646
_cell_length_b 10.7646
_cell_length_c 7.7398
_cell_angle_alpha 90.00
_cell_angle_beta 90.00
_cell_angle_gamma 90.00
loop_
_atom_site_label
_atom_site_type_symbol
_atom_site_fract_x
_atom_site_fract_y
_atom_site_fract_z
Cu1 Cu 0.0000 0.0000 0.0000
Cu2 Cu 0.0000 0.5000 0.0000
Cu3 Cu 0.1251 0.1251 0.2485
Cu4 Cu 0.1251 0.3749 0.2500
Cu5 Cu 0.2497 0.2497 0.0000
Pd1 Pd 0.0000 0.0000 0.5000
N1 N 0.0000 0.0000 0.2367
N2 N 0.0000 0.5000 0.2500
N3 N 0.2500 0.2500 0.2500
```

=====

- What is the magnetic moment in the second record?
  0.000 μB per atom